(1)
The following is a DFT calculation (GGA-PBE) of crystalline Li7CuAs4ClO14 at its relaxed geometry.

abc: 6.657 6.657 15.158
angles: 85.74 85.74 79.28
Positions (direct):
1 As 0.870 0.902 0.830
2 Li 0.800 0.383 0.323
3 O 0.050 0.764 0.413
4 O 0.717 0.075 0.355
5 O 0.075 0.717 0.855
6 O 0.343 0.508 0.555
7 O 0.800 0.688 0.282
8 As 0.203 0.831 0.155
9 Cl 0.275 0.127 0.885
10 O 0.100 0.646 0.110
11 O 0.038 0.219 0.583
12 O 0.688 0.800 0.782
13 O 0.880 0.417 0.960
14 O 0.219 0.038 0.083
15 O 0.608 0.731 0.043
16 O 0.417 0.880 0.460
17 Cu 0.721 0.712 0.160
18 As 0.902 0.870 0.330
19 Li 0.023 0.504 0.504
20 Li 0.111 0.961 0.495
21 As 0.238 0.621 0.657
22 O 0.978 0.047 0.741
23 O 0.008 0.741 0.619
24 O 0.047 0.978 0.241
25 O 0.556 0.458 0.403
26 As 0.831 0.203 0.655
27 O 0.401 0.730 0.221
28 Li 0.365 0.484 0.309
29 As 0.621 0.238 0.157
30 Li 0.582 0.120 0.474
31 Li 0.414 0.994 0.319
32 Li 0.383 0.800 0.823
33 Cl 0.127 0.275 0.385
34 O 0.458 0.556 0.903
35 Cu 0.712 0.721 0.660
36 Li 0.961 0.111 0.995
37 Li 0.504 0.023 0.004
38 Li 0.310 0.132 0.658
39 O 0.764 0.050 0.913
40 O 0.410 0.245 0.228
41 O 0.388 0.792 0.681
42 O 0.731 0.608 0.543
43 O 0.508 0.343 0.055
44 Li 0.132 0.310 0.158
45 Li 0.994 0.414 0.819
46 O 0.245 0.410 0.728
47 O 0.730 0.401 0.721
48 As 0.628 0.519 0.983
49 Li 0.120 0.582 0.974
50 Li 0.484 0.365 0.809
51 O 0.741 0.008 0.119
52 O 0.646 0.100 0.610
53 As 0.519 0.628 0.483
54 O 0.792 0.388 0.181

Output
- ΔH_f (0 K) (eV per atom) = -1.91

(2)
The following is a DFT calculation (GGA-PBE) of crystalline Cu2AsClO4 at its relaxed geometry.

abc: 6.660 4.918 6.933
angles: 88.17 90.00 90.00
Positions (direct):
1 As 0.250 0.492 0.240
2 O 0.250 0.322 0.454
3 O 0.542 0.299 0.800
4 Cu 0.250 0.359 0.733
5 O 0.042 0.701 0.200
6 Cl 0.750 0.168 0.245
7 Cu 0.000 0.000 0.000
8 Cu 0.500 0.000 0.000
9 Cu 0.750 0.641 0.267
10 Cl 0.250 0.832 0.755
11 O 0.750 0.762 0.937
12 As 0.750 0.508 0.760
13 O 0.750 0.678 0.546
14 O 0.458 0.701 0.200
15 O 0.250 0.238 0.063
16 O 0.958 0.299 0.800

Output
- ΔH_f (0 K) (eV per atom) = -1.11

(3)
The following is a DFT calculation (GGA-PBE) of crystalline CuAs2Pb8Cl5O9 at its relaxed geometry.

abc: 12.225 12.225 7.709
angles: 81.05 81.05 112.21
Positions (direct):
1 Pb 0.144 0.144 0.424
2 Pb 0.657 0.054 0.577
3 As 0.443 0.213 0.585
4 O 0.924 0.531 0.392
5 Pb 0.553 0.746 0.921
6 O 0.828 0.653 0.572
7 Cl 0.498 0.498 0.261
8 O 0.241 0.241 0.130
9 Pb 0.746 0.553 0.921
10 Pb 0.056 0.644 0.072
11 Pb 0.644 0.056 0.072
12 Pb 0.343 0.946 0.423
13 Pb 0.944 0.356 0.928
14 O 0.347 0.172 0.806
15 O 0.759 0.759 0.870
16 Cl 0.284 0.703 0.765
17 As 0.213 0.443 0.585
18 Pb 0.447 0.254 0.079
19 Cl 0.102 0.904 0.247
20 O 0.940 0.556 0.872
21 Cl 0.904 0.102 0.247
22 O 0.347 0.172 0.428
23 Cu 0.576 0.424 0.500
24 Pb 0.054 0.657 0.577
25 Pb 0.856 0.856 0.576
26 Cl 0.716 0.297 0.235
27 O 0.531 0.924 0.392
28 Pb 0.855 0.855 0.070
29 Cl 0.898 0.096 0.753
30 As 0.557 0.787 0.415
31 O 0.172 0.347 0.428
32 Pb 0.946 0.343 0.423
33 As 0.787 0.557 0.415
34 O 0.060 0.444 0.128
35 O 0.653 0.828 0.572
36 O 0.828 0.653 0.194
37 O 0.653 0.828 0.194
38 Cl 0.703 0.284 0.765
39 Cu 0.424 0.576 0.500
40 Pb 0.356 0.944 0.928
41 Cl 0.096 0.898 0.753
42 O 0.444 0.060 0.128
43 O 0.469 0.076 0.608
44 O 0.076 0.469 0.608
45 Pb 0.145 0.145 0.930
46 Cl 0.502 0.502 0.739
47 O 0.172 0.347 0.806
48 O 0.556 0.940 0.872
49 Pb 0.254 0.447 0.079
50 Cl 0.297 0.716 0.235

Output
- ΔH_f (0 K) (eV per atom) = -1.44

(4)
The following is a DFT calculation (GGA-PBE) of crystalline CuAs2Pb6Cl7O6 at its relaxed geometry.

abc: 8.208 8.208 8.208
angles: 75.59 75.59 75.59
Positions (direct):
1 O 0.643 0.860 0.944
2 Cl 0.551 0.829 0.386
3 Pb 0.628 0.164 0.877
4 Pb 0.125 0.363 0.831
5 Cl 0.633 0.453 0.159
6 Cl 0.453 0.159 0.633
7 Cl 0.159 0.633 0.453
8 O 0.944 0.643 0.860
9 As 0.238 0.238 0.238
10 Pb 0.363 0.831 0.125
11 O 0.132 0.061 0.358
12 Cl 0.829 0.386 0.551
13 Pb 0.877 0.628 0.164
14 Pb 0.831 0.125 0.363
15 Cu 0.627 0.627 0.627
16 As 0.765 0.765 0.765
17 Cl 0.001 0.001 0.001
18 O 0.358 0.132 0.061
19 Pb 0.164 0.877 0.628
20 Cl 0.386 0.551 0.829
21 O 0.061 0.358 0.132
22 O 0.860 0.944 0.643

Output
- ΔH_f (0 K) (eV per atom) = -1.36